# NbRe | Materials Project | PBE | optimized geometry
data_NbRe
_chemical_formula_sum 'Nb1 Re1'
_cell_length_a 2.781
_cell_length_b 2.781
_cell_length_c 4.536
_cell_angle_alpha 90.00
_cell_angle_beta 90.00
_cell_angle_gamma 109.74
_space_group_name_H-M_alt 'P 1'
_space_group_IT_number 1
loop_
_space_group_symop_operation_xyz
'x,y,z'
loop_
_atom_site_label
_atom_site_fract_x
_atom_site_fract_y
_atom_site_fract_z
Nb1 0.000 0.000 0.000
Re1 0.500 0.500 0.500
# Space-group type: Cmmm
# Energy relative to the elements, kcal/mol of atoms: -3.231

# Nb2ReRu | Materials Project | PBE | optimized geometry
data_Nb2ReRu
_chemical_formula_sum 'Nb2 Re1 Ru1'
_cell_length_a 4.532
_cell_length_b 4.532
_cell_length_c 4.532
_cell_angle_alpha 60.00
_cell_angle_beta 60.00
_cell_angle_gamma 60.00
_space_group_name_H-M_alt 'P 1'
_space_group_IT_number 1
loop_
_space_group_symop_operation_xyz
'x,y,z'
loop_
_atom_site_label
_atom_site_fract_x
_atom_site_fract_y
_atom_site_fract_z
Nb1 0.250 0.250 0.250
Nb2 0.750 0.750 0.750
Re1 0.000 0.000 0.000
Ru1 0.500 0.500 0.500
# Space-group type: Fm-3m
# Energy relative to the elements, kcal/mol of atoms: -5.128

# Ta2NbRe | Materials Project | PBE | optimized geometry
data_Ta2NbRe
_chemical_formula_sum 'Ta2 Nb1 Re1'
_cell_length_a 4.599
_cell_length_b 4.599
_cell_length_c 4.599
_cell_angle_alpha 60.00
_cell_angle_beta 60.00
_cell_angle_gamma 60.00
_space_group_name_H-M_alt 'P 1'
_space_group_IT_number 1
loop_
_space_group_symop_operation_xyz
'x,y,z'
loop_
_atom_site_label
_atom_site_fract_x
_atom_site_fract_y
_atom_site_fract_z
Ta1 0.250 0.250 0.250
Ta2 0.750 0.750 0.750
Nb1 0.000 0.000 0.000
Re1 0.500 0.500 0.500
# Space-group type: Fm-3m
# Energy relative to the elements, kcal/mol of atoms: -5.644

# TaNbRe2 | Materials Project | PBE | optimized geometry
data_TaNbRe2
_chemical_formula_sum 'Ta1 Nb1 Re2'
_cell_length_a 4.540
_cell_length_b 4.540
_cell_length_c 4.540
_cell_angle_alpha 60.00
_cell_angle_beta 60.00
_cell_angle_gamma 60.00
_space_group_name_H-M_alt 'P 1'
_space_group_IT_number 1
loop_
_space_group_symop_operation_xyz
'x,y,z'
loop_
_atom_site_label
_atom_site_fract_x
_atom_site_fract_y
_atom_site_fract_z
Ta1 0.000 0.000 0.000
Nb1 0.500 0.500 0.500
Re1 0.250 0.250 0.250
Re2 0.750 0.750 0.750
# Space-group type: Fm-3m
# Energy relative to the elements, kcal/mol of atoms: -7.900

# NbVRe | Materials Project | PBE | optimized geometry
data_NbVRe
_chemical_formula_sum 'Nb1 V1 Re1'
_cell_length_a 6.956
_cell_length_b 6.760
_cell_length_c 2.756
_cell_angle_alpha 82.43
_cell_angle_beta 74.44
_cell_angle_gamma 23.13
_space_group_name_H-M_alt 'P 1'
_space_group_IT_number 1
loop_
_space_group_symop_operation_xyz
'x,y,z'
loop_
_atom_site_label
_atom_site_fract_x
_atom_site_fract_y
_atom_site_fract_z
Nb1 0.000 0.000 0.000
V1 0.328 0.328 0.672
Re1 0.675 0.675 0.325
# Space-group type: Fmm2
# Energy relative to the elements, kcal/mol of atoms: -3.278
# Size of the total moment, μB/f.u.: 0.000

# NbRh3 | Materials Project | PBE | optimized geometry
data_NbRh3
_chemical_formula_sum 'Nb2 Rh6'
_cell_length_a 5.559
_cell_length_b 5.559
_cell_length_c 4.460
_cell_angle_alpha 90.00
_cell_angle_beta 90.00
_cell_angle_gamma 120.00
_space_group_name_H-M_alt 'P 1'
_space_group_IT_number 1
loop_
_space_group_symop_operation_xyz
'x,y,z'
loop_
_atom_site_label
_atom_site_fract_x
_atom_site_fract_y
_atom_site_fract_z
Nb1 0.333 0.667 0.250
Nb2 0.667 0.333 0.750
Rh1 0.164 0.329 0.750
Rh2 0.164 0.836 0.750
Rh3 0.329 0.164 0.250
Rh4 0.671 0.836 0.750
Rh5 0.836 0.164 0.250
Rh6 0.836 0.671 0.250
# Space-group type: P6_3/mmc
# Energy relative to the elements, kcal/mol of atoms: -11.406

# NbRh3 | Materials Project | PBE | optimized geometry
data_NbRh3
_chemical_formula_sum 'Nb6 Rh18'
_cell_length_a 5.545
_cell_length_b 5.545
_cell_length_c 13.507
_cell_angle_alpha 90.00
_cell_angle_beta 90.00
_cell_angle_gamma 120.00
_space_group_name_H-M_alt 'P 1'
_space_group_IT_number 1
loop_
_space_group_symop_operation_xyz
'x,y,z'
loop_
_atom_site_label
_atom_site_fract_x
_atom_site_fract_y
_atom_site_fract_z
Nb1 0.000 0.000 0.250
Nb2 0.000 0.000 0.750
Nb3 0.333 0.667 0.089
Nb4 0.333 0.667 0.411
Nb5 0.667 0.333 0.589
Nb6 0.667 0.333 0.911
Rh1 0.008 0.504 0.750
Rh2 0.166 0.332 0.583
Rh3 0.166 0.332 0.917
Rh4 0.166 0.834 0.583
Rh5 0.166 0.834 0.917
Rh6 0.332 0.166 0.083
Rh7 0.332 0.166 0.417
Rh8 0.496 0.504 0.750
Rh9 0.496 0.992 0.750
Rh10 0.504 0.008 0.250
Rh11 0.504 0.496 0.250
Rh12 0.668 0.834 0.583
Rh13 0.668 0.834 0.917
Rh14 0.834 0.166 0.083
Rh15 0.834 0.166 0.417
Rh16 0.834 0.668 0.083
Rh17 0.834 0.668 0.417
Rh18 0.992 0.496 0.250
# Space-group type: P6_3/mmc
# Energy relative to the elements, kcal/mol of atoms: -11.723

# NbRh2 | Materials Project | PBE | optimized geometry
data_NbRh2
_chemical_formula_sum 'Nb2 Rh4'
_cell_length_a 4.829
_cell_length_b 2.853
_cell_length_c 6.988
_cell_angle_alpha 90.00
_cell_angle_beta 104.84
_cell_angle_gamma 90.00
_space_group_name_H-M_alt 'P 1'
_space_group_IT_number 1
loop_
_space_group_symop_operation_xyz
'x,y,z'
loop_
_atom_site_label
_atom_site_fract_x
_atom_site_fract_y
_atom_site_fract_z
Nb1 0.000 0.000 0.000
Nb2 0.249 0.000 0.639
Rh1 0.456 0.000 0.318
Rh2 0.491 0.500 0.984
Rh3 0.745 0.500 0.660
Rh4 0.943 0.500 0.321
# Space-group type: Pm
# Energy relative to the elements, kcal/mol of atoms: -8.496
# Size of the total moment, μB/f.u.: 0.000